w | VASP calculation (PBE+U) on a relaxed Li2FeP2O8 crystal.

symmetry	No. 61
size of the total moment	5.010	μB per formula unit

a = 9.1508 Å, b = 13.7419 Å, c = 9.2385 Å
α = 90.00°, β = 90.00°, γ = 90.00°
With the nearest neighbours (Å) after each atom.
Atoms (fractional coordinates):
Li: 0.0456 0.1258 0.2260  3 O 1.94-2.09
Li: 0.0456 0.3742 0.7260  3 O 1.94-2.09
Li: 0.2165 0.6268 0.4604  4 O 2.00-2.18
Li: 0.2165 0.8732 0.9604  4 O 2.00-2.18
Li: 0.2835 0.1268 0.4604  4 O 2.00-2.18
Li: 0.2835 0.3732 0.9604  4 O 2.00-2.18
Li: 0.4544 0.6258 0.2260  3 O 1.94-2.09
Li: 0.4544 0.8742 0.7260  3 O 1.94-2.09
Li: 0.5456 0.1258 0.2740  3 O 1.94-2.09
Li: 0.5456 0.3742 0.7740  3 O 1.94-2.09
Li: 0.7165 0.6268 0.0396  4 O 2.00-2.18
Li: 0.7165 0.8732 0.5396  4 O 2.00-2.18
Li: 0.7835 0.1268 0.0396  4 O 2.00-2.18
Li: 0.7835 0.3732 0.5396  4 O 2.00-2.18
Li: 0.9544 0.6258 0.2740  3 O 1.94-2.09
Li: 0.9544 0.8742 0.7740  3 O 1.94-2.09
Fe: 0.1048 0.6253 0.8598  6 O 2.00-2.05
Fe: 0.1048 0.8747 0.3598  6 O 2.00-2.05
Fe: 0.3952 0.1253 0.8598  6 O 2.00-2.05
Fe: 0.3952 0.3747 0.3598  6 O 2.00-2.05
Fe: 0.6048 0.6253 0.6402  6 O 2.00-2.05
Fe: 0.6048 0.8747 0.1402  6 O 2.00-2.05
Fe: 0.8952 0.1253 0.6402  6 O 2.00-2.05
Fe: 0.8952 0.3747 0.1402  6 O 2.00-2.05
P: 0.0666 0.2226 0.9259  4 O 1.52-1.57
P: 0.0666 0.2774 0.4259  4 O 1.52-1.57
P: 0.1867 0.5097 0.1612  4 O 1.52-1.56
P: 0.1867 0.9903 0.6612  4 O 1.52-1.56
P: 0.3133 0.0097 0.1612  4 O 1.52-1.56
P: 0.3133 0.4903 0.6612  4 O 1.52-1.56
P: 0.4334 0.7226 0.9259  4 O 1.52-1.57
P: 0.4334 0.7774 0.4259  4 O 1.52-1.57
P: 0.5666 0.2226 0.5741  4 O 1.52-1.57
P: 0.5666 0.2774 0.0741  4 O 1.52-1.57
P: 0.6867 0.5097 0.3388  4 O 1.52-1.56
P: 0.6867 0.9903 0.8388  4 O 1.52-1.56
P: 0.8133 0.0097 0.3388  4 O 1.52-1.56
P: 0.8133 0.4903 0.8388  4 O 1.52-1.56
P: 0.9334 0.7226 0.5741  4 O 1.52-1.57
P: 0.9334 0.7774 0.0741  4 O 1.52-1.57
O: 0.0007 0.6455 0.4771  1 P 1.52
O: 0.0007 0.8545 0.9771  1 P 1.52
O: 0.0046 0.2201 0.7688  1 P 1.56
O: 0.0046 0.2799 0.2688  1 P 1.56
O: 0.0240 0.0105 0.7019  1 P 1.56
O: 0.0240 0.4895 0.2019  1 P 1.56
O: 0.0335 0.1709 0.4795  1 P 1.57
O: 0.0335 0.3291 0.9795  1 P 1.57
O: 0.1995 0.5255 0.9945  1 P 1.56
O: 0.1995 0.9745 0.4945  1 P 1.56
O: 0.2242 0.5848 0.6881  1 P 1.55
O: 0.2242 0.9152 0.1881  1 P 1.55
O: 0.2373 0.2198 0.9214  1 P 1.56
O: 0.2373 0.2802 0.4214  1 P 1.56
O: 0.2391 0.5976 0.2468  1 P 1.52
O: 0.2391 0.9024 0.7468  1 P 1.52
O: 0.2609 0.0976 0.2468  1 P 1.52
O: 0.2609 0.4024 0.7468  1 P 1.52
O: 0.2627 0.7198 0.9214  1 P 1.56
O: 0.2627 0.7802 0.4214  1 P 1.56
O: 0.2758 0.0848 0.6881  1 P 1.55
O: 0.2758 0.4152 0.1881  1 P 1.55
O: 0.3005 0.0255 0.9945  1 P 1.56
O: 0.3005 0.4745 0.4945  1 P 1.56
O: 0.4665 0.6709 0.4795  1 P 1.57
O: 0.4665 0.8291 0.9795  1 P 1.57
O: 0.4760 0.5105 0.7019  1 P 1.56
O: 0.4760 0.9895 0.2019  1 P 1.56
O: 0.4954 0.7201 0.7688  1 P 1.56
O: 0.4954 0.7799 0.2688  1 P 1.56
O: 0.4993 0.1455 0.4771  1 P 1.52
O: 0.4993 0.3545 0.9771  1 P 1.52
O: 0.5007 0.6455 0.0229  1 P 1.52
O: 0.5007 0.8545 0.5229  1 P 1.52
O: 0.5046 0.2201 0.7312  1 P 1.56
O: 0.5046 0.2799 0.2312  1 P 1.56
O: 0.5240 0.0105 0.7981  1 P 1.56
O: 0.5240 0.4895 0.2981  1 P 1.56
O: 0.5335 0.1709 0.0205  1 P 1.57
O: 0.5335 0.3291 0.5205  1 P 1.57
O: 0.6995 0.5255 0.5055  1 P 1.56
O: 0.6995 0.9745 0.0055  1 P 1.56
O: 0.7242 0.5848 0.8119  1 P 1.55
O: 0.7242 0.9152 0.3119  1 P 1.55
O: 0.7373 0.2198 0.5786  1 P 1.56
O: 0.7373 0.2802 0.0786  1 P 1.56
O: 0.7391 0.5976 0.2532  1 P 1.52
O: 0.7391 0.9024 0.7532  1 P 1.52
O: 0.7609 0.0976 0.2532  1 P 1.52
O: 0.7609 0.4024 0.7532  1 P 1.52
O: 0.7627 0.7198 0.5786  1 P 1.56
O: 0.7627 0.7802 0.0786  1 P 1.56
O: 0.7758 0.0848 0.8119  1 P 1.55
O: 0.7758 0.4152 0.3119  1 P 1.55
O: 0.8005 0.0255 0.5055  1 P 1.56
O: 0.8005 0.4745 0.0055  1 P 1.56
O: 0.9665 0.6709 0.0205  1 P 1.57
O: 0.9665 0.8291 0.5205  1 P 1.57
O: 0.9760 0.5105 0.7981  1 P 1.56
O: 0.9760 0.9895 0.2981  1 P 1.56
O: 0.9954 0.7201 0.7312  1 P 1.56
O: 0.9954 0.7799 0.2312  1 P 1.56
O: 0.9993 0.1455 0.0229  1 P 1.52
O: 0.9993 0.3545 0.5229  1 P 1.52

x | VASP calculation (PBE+U) on a relaxed Li2FeP2O8 crystal.

symmetry	No. 9
size of the total moment	4.005	μB per formula unit

a = 5.1285 Å, b = 5.1285 Å, c = 13.9762 Å
α = 97.31°, β = 97.31°, γ = 54.91°
With the nearest neighbours (Å) after each atom.
Atoms (fractional coordinates):
Li: 0.0187 0.9813 0.5000  4 O 1.96-2.13
Li: 0.6336 0.7003 0.9051  4 O 2.03-2.12
Li: 0.7003 0.6336 0.4051  4 O 2.03-2.12
Li: 0.9813 0.0187 0.0000  4 O 1.96-2.13
Fe: 0.6389 0.6695 0.1699  5 O 1.94-2.03
Fe: 0.6695 0.6389 0.6699  5 O 1.94-2.03
P: 0.0095 0.9903 0.2776  4 O 1.52-1.58
P: 0.3104 0.3288 0.0470  4 O 1.54-1.56
P: 0.3288 0.3104 0.5470  4 O 1.54-1.56
P: 0.9903 0.0095 0.7776  4 O 1.52-1.58
O: 0.1026 0.4326 0.6300  1 P 1.55
O: 0.1274 0.5360 0.4653  1 P 1.54
O: 0.1650 0.8678 0.8735  1 P 1.52
O: 0.2210 0.8774 0.6953  1 P 1.55
O: 0.3264 0.6237 0.0773  1 P 1.56
O: 0.3828 0.8178 0.2872  1 P 1.58
O: 0.4326 0.1026 0.1300  1 P 1.55
O: 0.4508 0.9550 0.5232  1 P 1.55
O: 0.5360 0.1274 0.9653  1 P 1.54
O: 0.6237 0.3264 0.5773  1 P 1.56
O: 0.7221 0.9539 0.7485  1 P 1.56
O: 0.8178 0.3828 0.7872  1 P 1.58
O: 0.8678 0.1650 0.3735  1 P 1.52
O: 0.8774 0.2210 0.1953  1 P 1.55
O: 0.9539 0.7221 0.2485  1 P 1.56
O: 0.9550 0.4508 0.0232  1 P 1.55

Which one is most stable, and which one is least stable? w is the most stable of them, while x is the least stable.

w | VASP calculation (PBE+U) on a relaxed Mn2CuO4 crystal.

symmetry	No. 2
size of the total moment	6.995	μB per formula unit

a = 5.8591 Å, b = 5.9348 Å, c = 5.9395 Å
α = 90.65°, β = 119.38°, γ = 119.52°
With the nearest neighbours (Å) after each atom.
Atoms (fractional coordinates):
Mn: 0.0000 0.0000 0.0000  6 O 1.98-2.02
Mn: 0.0000 0.0000 0.5000  6 O 1.99-2.01
Mn: 0.5000 0.0000 0.0000  6 O 1.98-2.03
Mn: 0.5000 0.5000 0.0000  6 O 1.98-2.01
Cu: 0.2502 0.6232 0.3780  4 O 1.97-2.02
Cu: 0.7498 0.3767 0.6220  4 O 1.97-2.02
O: 0.0234 0.2400 0.7628  1 Cu 1.98, 3 Mn 2.00-2.02
O: 0.0267 0.7918 0.7616  3 Mn 1.98-1.99, 1 Cu 2.02
O: 0.4762 0.2384 0.7587  1 Cu 1.97, 3 Mn 2.00-2.03
O: 0.4758 0.2400 0.2081  3 Mn 1.98-2.00, 1 Cu 2.02
O: 0.5242 0.7600 0.7919  3 Mn 1.98-2.00, 1 Cu 2.02
O: 0.5238 0.7616 0.2413  1 Cu 1.97, 3 Mn 2.00-2.03
O: 0.9733 0.2082 0.2384  3 Mn 1.98-1.99, 1 Cu 2.02
O: 0.9766 0.7600 0.2372  1 Cu 1.98, 3 Mn 2.00-2.02

x | VASP calculation (PBE+U) on a relaxed Mn2CuO4 crystal.

symmetry	No. 156
size of the total moment	7.783	μB per formula unit

a = 6.0591 Å, b = 6.0591 Å, c = 14.7841 Å
α = 90.00°, β = 90.00°, γ = 120.00°
With the nearest neighbours (Å) after each atom.
Atoms (fractional coordinates):
Mn: 0.0000 0.0000 0.0000  6 O 2.05-2.06
Mn: 0.0000 0.0000 0.3768  4 O 2.04-2.05
Mn: 0.1680 0.3359 0.1652  6 O 2.00-2.06
Mn: 0.1680 0.8320 0.1652  6 O 2.00-2.06
Mn: 0.3333 0.6667 0.7096  4 O 2.01-2.04
Mn: 0.3339 0.1669 0.8335  6 O 2.00-2.09
Mn: 0.5010 0.0021 0.4989  6 O 2.00-2.08
Mn: 0.5010 0.4990 0.4989  6 O 2.00-2.08
Mn: 0.6641 0.8320 0.1652  6 O 2.00-2.06
Mn: 0.8331 0.1669 0.8335  6 O 2.00-2.09
Mn: 0.8331 0.6661 0.8335  6 O 2.00-2.09
Mn: 0.9979 0.4990 0.4989  6 O 2.00-2.08
Cu: 0.0000 0.0000 0.6228  4 O 1.98-2.04
Cu: 0.3333 0.6667 0.3310  6 O 2.10
Cu: 0.3333 0.6667 0.9571  4 O 1.97-2.04
Cu: 0.6667 0.3333 0.0409  4 O 1.95-2.03
Cu: 0.6667 0.3333 0.2877  4 O 1.98-2.02
Cu: 0.6667 0.3333 0.6654  6 O 2.10-2.11
O: 0.0000 0.0000 0.2379  4 Mn 2.05-2.06
O: 0.0000 0.0000 0.7569  1 Cu 1.98, 3 Mn 2.09
O: 0.0277 0.5139 0.2397  2 Mn 2.00, 2 Cu 2.02-2.10
O: 0.1505 0.3010 0.9105  3 Mn 2.02-2.06, 1 Cu 2.04
O: 0.1505 0.8495 0.9105  3 Mn 2.02-2.06, 1 Cu 2.04
O: 0.1827 0.3654 0.4244  3 Mn 2.01-2.04, 1 Cu 2.10
O: 0.1827 0.8173 0.4244  3 Mn 2.01-2.04, 1 Cu 2.10
O: 0.3021 0.1510 0.0876  1 Cu 2.03, 3 Mn 2.04-2.05
O: 0.3333 0.6667 0.0905  1 Cu 1.97, 3 Mn 2.06
O: 0.3333 0.6667 0.5733  4 Mn 2.01-2.08
O: 0.3624 0.1812 0.5733  2 Mn 2.00, 2 Cu 2.04-2.10
O: 0.4861 0.5139 0.2397  2 Mn 2.00, 2 Cu 2.02-2.10
O: 0.4861 0.9723 0.2397  2 Mn 2.00, 2 Cu 2.02-2.10
O: 0.5151 0.0303 0.7593  3 Mn 2.00-2.04, 1 Cu 2.11
O: 0.5151 0.4849 0.7593  3 Mn 2.00-2.04, 1 Cu 2.11
O: 0.6346 0.8173 0.4244  3 Mn 2.01-2.04, 1 Cu 2.10
O: 0.6667 0.3333 0.4214  1 Cu 1.98, 3 Mn 2.08
O: 0.6667 0.3333 0.9089  1 Cu 1.95, 3 Mn 2.07
O: 0.6990 0.8495 0.9105  3 Mn 2.02-2.06, 1 Cu 2.04
O: 0.8188 0.1812 0.5733  2 Mn 2.00, 2 Cu 2.04-2.10
O: 0.8188 0.6376 0.5733  2 Mn 2.00, 2 Cu 2.04-2.10
O: 0.8490 0.1510 0.0876  1 Cu 2.03, 3 Mn 2.04-2.05
O: 0.8490 0.6979 0.0876  1 Cu 2.03, 3 Mn 2.04-2.05
O: 0.9697 0.4849 0.7593  3 Mn 2.00-2.04, 1 Cu 2.11

Which one is most stable, and which one is least stable? w is the most stable of them, while x is the least stable.